[1]
This record from the Materials Project database describes TbGaNi4 after structural relaxation. The functional is r2SCAN.

a b c (Å): 3.9825 8.5148 8.5147
angles (deg): 120.00 90.00 90.00
Closest atoms and distances in Å follow each position.
Fractional coordinates of all 18 atoms:
Tb (0.0000, 0.0000, 0.0000)  6 Ni 2.66
Tb (0.5000, 0.6666, 0.3333)  12 Ni 2.96-3.01, 6 Ga 3.16
Tb (0.5000, 0.3334, 0.6667)  12 Ni 2.96-3.01, 6 Ga 3.16
Ga (0.0000, 0.5000, 0.4999)  8 Ni 2.36-2.59
Ga (0.0000, 0.0000, 0.5000)  8 Ni 2.37-2.59
Ga (0.0000, 0.5000, 0.0000)  8 Ni 2.36-2.59
Ni (0.0000, 0.8197, 0.1801)  2 Ga 2.36-2.37, 4 Ni 2.41
Ni (0.0000, 0.1803, 0.8200)  2 Ga 2.36-2.37, 4 Ni 2.41
Ni (0.0000, 0.3604, 0.1802)  2 Ga 2.36, 4 Ni 2.41
Ni (0.0000, 0.6396, 0.8198)  2 Ga 2.36-2.37, 4 Ni 2.41
Ni (0.0000, 0.8197, 0.6397)  2 Ga 2.36-2.37, 4 Ni 2.41
Ni (0.0000, 0.1803, 0.3603)  2 Ga 2.36-2.37, 4 Ni 2.41
Ni (0.5000, 0.6939, 0.6940)  6 Ni 2.41-2.61, 2 Ga 2.59
Ni (0.5000, 0.3061, 0.3060)  6 Ni 2.41-2.61, 2 Ga 2.59
Ni (0.5000, 0.0000, 0.3059)  6 Ni 2.41-2.61, 2 Ga 2.59
Ni (0.5000, 0.0000, 0.6941)  6 Ni 2.41-2.61, 2 Ga 2.59
Ni (0.5000, 0.3061, 0.0001)  6 Ni 2.41-2.61, 2 Ga 2.59
Ni (0.5000, 0.6939, 0.0000)  6 Ni 2.41-2.61, 2 Ga 2.59

* raw total energy: -15.54 eV/atom
* calculated formation energy: -2.62 eV per formula unit

---

[2]
This record from the Materials Project database describes TiGaNi6 after structural relaxation. The functional is r2SCAN.

a b c (Å): 3.5651 3.5651 7.0460
angles (deg): 90.00 90.00 90.00
Closest atoms and distances in Å follow each position.
Fractional coordinates of all 8 atoms:
Ti (0.0000, 0.0000, 0.5000)  12 Ni 2.52
Ga (0.0000, 0.0000, 0.0000)  12 Ni 2.50-2.52
Ni (0.5000, 0.5000, 0.0000)  8 Ni 2.50, 4 Ga 2.52
Ni (0.5000, 0.5000, 0.5000)  8 Ni 2.52, 4 Ti 2.52
Ni (0.5000, 0.0000, 0.2481)  8 Ni 2.50-2.52, 2 Ga 2.50, 2 Ti 2.52
Ni (0.5000, 0.0000, 0.7519)  8 Ni 2.50-2.52, 2 Ga 2.50, 2 Ti 2.52
Ni (0.0000, 0.5000, 0.2481)  2 Ga 2.50, 8 Ni 2.50-2.52, 2 Ti 2.52
Ni (0.0000, 0.5000, 0.7519)  2 Ga 2.50, 8 Ni 2.50-2.52, 2 Ti 2.52

* raw total energy: -12.41 eV/atom
* calculated formation energy: -3.02 eV per formula unit

---

[3]
This record from the Materials Project database describes Tm2GaNi2 after structural relaxation. The functional is r2SCAN.

a b c (Å): 4.1443 5.2201 5.2201
angles (deg): 60.51 66.61 66.61
Closest atoms and distances in Å follow each position.
Fractional coordinates of all 5 atoms:
Tm (0.2017, 0.2983, 0.2983)  6 Ni 2.77-2.90, 2 Ga 3.09
Tm (0.7983, 0.7017, 0.7017)  6 Ni 2.77-2.90, 2 Ga 3.09
Ga (0.0000, 0.0000, 0.0000)  4 Ni 2.50
Ni (0.5000, 0.2672, 0.7328)  1 Ni 2.45, 2 Ga 2.50
Ni (0.5000, 0.7328, 0.2672)  1 Ni 2.45, 2 Ga 2.50

* raw total energy: -21.75 eV/atom
* calculated formation energy: -3.13 eV per formula unit

---

[4]
This record from the Materials Project database describes TmGa4Ni after structural relaxation. The functional is r2SCAN.

a b c (Å): 7.7527 7.7527 6.5076
angles (deg): 90.00 90.00 149.79
Closest atoms and distances in Å follow each position.
Fractional coordinates of all 12 atoms:
Tm (0.8789, 0.1211, 0.7500)  11 Ga 2.85-3.18, 2 Ni 3.07
Tm (0.1211, 0.8789, 0.2500)  11 Ga 2.85-3.18, 2 Ni 3.07
Ga (0.5000, 0.5000, 0.0000)  6 Ga 2.79
Ga (0.5000, 0.5000, 0.5000)  6 Ga 2.79
Ga (0.0695, 0.9305, 0.7500)  1 Ni 2.32
Ga (0.9305, 0.0695, 0.2500)  1 Ni 2.32
Ga (0.6850, 0.3150, 0.9488)  3 Ni 2.38-2.47, 1 Ga 2.59
Ga (0.3150, 0.6850, 0.0512)  3 Ni 2.38-2.47, 1 Ga 2.59
Ga (0.6850, 0.3150, 0.5512)  3 Ni 2.38-2.47, 1 Ga 2.59
Ga (0.3150, 0.6850, 0.4488)  3 Ni 2.38-2.47, 1 Ga 2.59
Ni (0.2244, 0.7756, 0.7500)  7 Ga 2.32-2.47
Ni (0.7756, 0.2244, 0.2500)  7 Ga 2.32-2.47

* raw total energy: -16.03 eV/atom
* calculated formation energy: -3.31 eV per formula unit

---

[5]
This record from the Materials Project database describes U4Ga12Ni after structural relaxation. The functional is r2SCAN.

a b c (Å): 7.4300 7.4300 7.4300
angles (deg): 109.47 109.47 109.47
Closest atoms and distances in Å follow each position.
Fractional coordinates of all 17 atoms:
U (0.5000, 0.5000, 0.5000)  12 Ga 3.03-3.05
U (0.0000, 0.0000, 0.5000)  12 Ga 3.03-3.05
U (0.0000, 0.5000, 0.0000)  12 Ga 3.03-3.05
U (0.5000, 0.0000, 0.0000)  12 Ga 3.03-3.05
Ga (0.5000, 0.7500, 0.2500)  8 Ga 2.83-3.03, 4 U 3.03
Ga (0.5000, 0.2500, 0.7500)  8 Ga 2.83-3.03, 4 U 3.03
Ga (0.2500, 0.5000, 0.7500)  8 Ga 2.83-3.03, 4 U 3.03
Ga (0.7500, 0.5000, 0.2500)  8 Ga 2.83-3.03, 4 U 3.03
Ga (0.7500, 0.2500, 0.5000)  8 Ga 2.83-3.03, 4 U 3.03
Ga (0.2500, 0.7500, 0.5000)  8 Ga 2.83-3.03, 4 U 3.03
Ga (0.0000, 0.2852, 0.2852)  1 Ni 2.45
Ga (0.0000, 0.7148, 0.7148)  1 Ni 2.45
Ga (0.2852, 0.0000, 0.2852)  1 Ni 2.45
Ga (0.7148, 0.0000, 0.7148)  1 Ni 2.45
Ga (0.2852, 0.2852, 0.0000)  1 Ni 2.45
Ga (0.7148, 0.7148, 0.0000)  1 Ni 2.45
Ni (0.0000, 0.0000, 0.0000)  6 Ga 2.45

* raw total energy: -28.02 eV/atom
* calculated formation energy: -7.25 eV per formula unit

---

[6]
This record from the Materials Project database describes UGaNi after structural relaxation. The functional is r2SCAN.

a b c (Å): 6.6149 6.6151 4.0783
angles (deg): 90.00 90.00 120.00
Closest atoms and distances in Å follow each position.
Fractional coordinates of all 9 atoms:
U (0.5720, 0.0000, 0.5000)  5 Ni 2.83, 2 Ga 3.01
U (0.4281, 0.4280, 0.5000)  5 Ni 2.83, 2 Ga 3.01
U (0.0000, 0.5720, 0.5000)  5 Ni 2.83, 2 Ga 3.01
Ga (0.2368, 0.0000, 0.0000)  4 Ni 2.57-2.58, 2 Ga 2.71
Ga (0.7632, 0.7632, 0.0000)  4 Ni 2.57-2.58, 2 Ga 2.71
Ga (0.0000, 0.2368, 0.0000)  4 Ni 2.57-2.58, 2 Ga 2.71
Ni (0.3333, 0.6667, 0.0000)  3 Ga 2.58, 6 U 2.83
Ni (0.6667, 0.3333, 0.0000)  3 Ga 2.58, 6 U 2.83
Ni (0.0000, 0.0000, 0.5000)  6 Ga 2.57, 3 U 2.83

* raw total energy: -34.87 eV/atom
* calculated formation energy: -1.24 eV per formula unit

---

[7]
This record from the Materials Project database describes YGaNi after structural relaxation. The functional is r2SCAN.

a b c (Å): 4.3027 6.9024 7.1931
angles (deg): 90.01 90.00 90.00
Closest atoms and distances in Å follow each position.
Fractional coordinates of all 12 atoms:
Y (0.2500, 0.0169, 0.8014)  5 Ni 2.84-3.16, 6 Ga 2.99-3.11
Y (0.2500, 0.5168, 0.6987)  5 Ni 2.84-3.16, 6 Ga 2.98-3.11
Y (0.7500, 0.9831, 0.1986)  5 Ni 2.84-3.16, 6 Ga 2.99-3.11
Y (0.7500, 0.4831, 0.3013)  5 Ni 2.84-3.16, 6 Ga 2.98-3.11
Ga (0.2500, 0.1819, 0.4178)  4 Ni 2.48-2.65
Ga (0.2500, 0.6819, 0.0822)  4 Ni 2.49-2.65
Ga (0.7500, 0.8181, 0.5822)  4 Ni 2.49-2.65
Ga (0.7500, 0.3181, 0.9178)  4 Ni 2.49-2.65
Ni (0.2500, 0.7986, 0.4104)  4 Ga 2.49-2.65
Ni (0.2500, 0.2985, 0.0897)  4 Ga 2.49-2.65
Ni (0.7500, 0.2014, 0.5897)  4 Ga 2.48-2.65
Ni (0.7500, 0.7015, 0.9103)  4 Ga 2.49-2.65

* raw total energy: -15.24 eV/atom
* calculated formation energy: -1.98 eV per formula unit